## Na6Nb2In6Si5S7O48 (GGA-PBE)

Data for a relaxed structure of Na6Nb2In6Si5S7O48.

a b c (Å): 9.0592 15.5526 23.3129
angles (deg): 89.55 89.95 89.95
Space group P1 (No. 1)
Symmetry-distinct sites (fractional):
Na 0.0000 0.0000 0.0000 x1
Na 0.0003 0.0027 0.5087 x1
Na 0.0011 0.3273 0.1770 x1
Na 0.1853 0.1504 0.9235 x1
Na 0.1889 0.5091 0.9197 x1
Na 0.3142 0.0092 0.4300 x1
Na 0.3171 0.6532 0.4272 x1
Na 0.4971 0.8390 0.6695 x1
Na 0.5017 0.4996 0.5030 x1
Na 0.5042 0.8338 0.1770 x1
Na 0.5056 0.5018 0.0049 x1
Na 0.5074 0.1700 0.3331 x1
Na 0.5086 0.1614 0.8476 x1
Na 0.6339 0.3280 0.9211 x1
Na 0.8664 0.8291 0.4251 x1
Na 0.9918 0.6643 0.3531 x1
Na 0.9956 0.6724 0.8289 x1
Na 0.9968 0.3305 0.6760 x1
Nb 0.0092 0.0047 0.1638 x1
Nb 0.0130 0.3338 0.3209 x1
Nb 0.0186 0.9997 0.6513 x1
Nb 0.4883 0.8378 0.8170 x1
Nb 0.4919 0.5040 0.6637 x1
Nb 0.4972 0.4991 0.1561 x1
In 0.0064 0.9977 0.8627 x1
In 0.0091 0.0006 0.3565 x1
In 0.0116 0.3274 0.0196 x1
In 0.0158 0.3289 0.8226 x1
In 0.4861 0.8317 0.3253 x1
In 0.4872 0.8329 0.5242 x1
In 0.4915 0.5003 0.8551 x1
In 0.4959 0.4976 0.3651 x1
In 0.5018 0.1661 0.1994 x1
In 0.5048 0.8316 0.0281 x1
In 0.5086 0.1548 0.9857 x1
In 0.5095 0.1613 0.6871 x1
In 0.5144 0.1641 0.5006 x1
In 0.9821 0.6726 0.9943 x1
In 0.9911 0.6574 0.4872 x1
In 0.9912 0.6680 0.1903 x1
In 0.9973 0.3318 0.5293 x1
In 0.9993 0.6668 0.6986 x1
Si 0.1370 0.8568 0.7605 x1
Si 0.1465 0.4747 0.4288 x1
Si 0.1949 0.4950 0.7622 x1
Si 0.1983 0.8355 0.4261 x1
Si 0.3022 0.3366 0.9283 x1
Si 0.3060 0.9944 0.2624 x1
Si 0.3533 0.9732 0.9283 x1
Si 0.3599 0.3567 0.2611 x1
Si 0.3646 0.0145 0.5903 x1
Si 0.6416 0.6891 0.4242 x1
Si 0.6471 0.6465 0.7638 x1
Si 0.7020 0.6691 0.0938 x1
Si 0.8014 0.1703 0.5950 x1
Si 0.8540 0.1475 0.2638 x1
Si 0.8572 0.1864 0.9233 x1
S 0.1466 0.8171 0.0944 x1
S 0.1495 0.5169 0.0932 x1
S 0.1511 0.1889 0.4254 x1
S 0.1521 0.1448 0.7556 x1
S 0.2044 0.1649 0.0940 x1
S 0.2965 0.6625 0.5939 x1
S 0.3487 0.6443 0.2549 x1
S 0.3495 0.6879 0.9270 x1
S 0.3563 0.3189 0.5946 x1
S 0.6447 0.3499 0.7577 x1
S 0.6491 0.9841 0.4253 x1
S 0.6516 0.3157 0.0934 x1
S 0.6548 0.0195 0.0954 x1
S 0.7102 0.0007 0.7603 x1
S 0.7117 0.3288 0.4245 x1
S 0.7900 0.8306 0.9243 x1
S 0.7912 0.4994 0.2590 x1
S 0.8464 0.5196 0.5954 x1
S 0.8542 0.8141 0.5932 x1
S 0.8555 0.4833 0.9273 x1
S 0.8561 0.8513 0.2579 x1
O 0.0714 0.5699 0.4261 x1
O 0.0706 0.8962 0.8174 x1
O 0.0712 0.9026 0.1016 x1
O 0.0739 0.2281 0.7551 x1
O 0.0740 0.4207 0.3715 x1
O 0.0834 0.4302 0.0902 x1
O 0.0835 0.9192 0.4216 x1
O 0.0835 0.7783 0.0415 x1
O 0.0848 0.7603 0.7518 x1
O 0.0865 0.1015 0.4207 x1
O 0.0890 0.0958 0.7060 x1
O 0.0907 0.5600 0.1444 x1
O 0.0916 0.2269 0.4773 x1
O 0.0984 0.7485 0.4349 x1
O 0.1016 0.4062 0.7581 x1
O 0.1034 0.5812 0.7514 x1
O 0.1041 0.2411 0.0919 x1
O 0.1072 0.0847 0.1021 x1
O 0.1071 0.9184 0.7039 x1
O 0.1086 0.2416 0.3724 x1
O 0.1132 0.4173 0.4844 x1
O 0.1210 0.7622 0.1457 x1
O 0.1266 0.0981 0.8104 x1
O 0.1304 0.5683 0.0398 x1
O 0.1728 0.3516 0.2686 x1
O 0.1763 0.0069 0.6006 x1
O 0.1768 0.9889 0.9239 x1
O 0.1776 0.9874 0.2063 x1
O 0.1833 0.6774 0.9309 x1
O 0.1868 0.6514 0.2457 x1
O 0.1954 0.3315 0.5902 x1
O 0.1984 0.6714 0.6438 x1
O 0.2010 0.3148 0.8732 x1
O 0.2035 0.3689 0.9834 x1
O 0.2144 0.0082 0.3207 x1
O 0.2146 0.6492 0.5397 x1
O 0.2830 0.5085 0.8220 x1
O 0.2854 0.1522 0.0399 x1
O 0.2933 0.8118 0.3692 x1
O 0.2993 0.8652 0.4797 x1
O 0.3009 0.1740 0.1440 x1
O 0.3073 0.8289 0.0902 x1
O 0.3137 0.1556 0.7493 x1
O 0.3150 0.1827 0.4256 x1
O 0.3170 0.5083 0.1005 x1
O 0.3230 0.4891 0.4240 x1
O 0.3239 0.4877 0.7073 x1
O 0.3259 0.8524 0.7682 x1
O 0.3689 0.0707 0.5303 x1
O 0.3723 0.5965 0.3088 x1
O 0.3837 0.2653 0.6459 x1
O 0.3837 0.7402 0.8747 x1
O 0.3851 0.9183 0.9855 x1
O 0.3918 0.5812 0.6021 x1
O 0.3927 0.4190 0.2034 x1
O 0.3965 0.0806 0.2512 x1
O 0.3972 0.7361 0.5918 x1
O 0.4001 0.2494 0.9373 x1
O 0.4005 0.9058 0.2581 x1
O 0.4087 0.7247 0.9794 x1
O 0.4132 0.5996 0.9224 x1
O 0.4148 0.5945 0.2047 x1
O 0.4163 0.2616 0.2508 x1
O 0.4178 0.4197 0.9221 x1
O 0.4195 0.0593 0.6480 x1
O 0.4204 0.2819 0.5412 x1
O 0.4238 0.7276 0.2538 x1
O 0.4269 0.9198 0.8718 x1
O 0.4278 0.0689 0.9252 x1
O 0.4300 0.4056 0.6018 x1
O 0.4320 0.4003 0.3153 x1
O 0.4329 0.9184 0.5890 x1
O 0.5607 0.7406 0.7715 x1
O 0.5624 0.5945 0.4186 x1
O 0.5617 0.7275 0.4815 x1
O 0.5677 0.5954 0.7067 x1
O 0.5707 0.2659 0.7511 x1
O 0.5739 0.0700 0.4301 x1
O 0.5807 0.4050 0.1036 x1
O 0.5836 0.9448 0.3734 x1
O 0.5847 0.2835 0.0405 x1
O 0.5880 0.0617 0.1453 x1
O 0.5888 0.9327 0.0906 x1
O 0.5897 0.3862 0.8126 x1
O 0.5897 0.7499 0.0879 x1
O 0.5954 0.5811 0.1079 x1
O 0.6019 0.4094 0.7080 x1
O 0.6066 0.0742 0.7562 x1
O 0.6156 0.2507 0.4273 x1
O 0.6157 0.9180 0.7662 x1
O 0.6214 0.2615 0.1440 x1
O 0.6217 0.4078 0.4198 x1
O 0.6248 0.5875 0.8194 x1
O 0.6259 0.9311 0.4777 x1
O 0.6289 0.7512 0.3668 x1
O 0.6355 0.0711 0.0421 x1
O 0.6781 0.1826 0.9298 x1
O 0.6822 0.5098 0.6036 x1
O 0.6840 0.1628 0.2513 x1
O 0.6920 0.8212 0.8735 x1
O 0.6928 0.4901 0.2072 x1
O 0.6932 0.4934 0.9226 x1
O 0.6940 0.8256 0.5888 x1
O 0.6947 0.8451 0.2560 x1
O 0.7048 0.1901 0.6512 x1
O 0.7053 0.5137 0.3109 x1
O 0.7083 0.8368 0.9788 x1
O 0.7149 0.1451 0.5364 x1
O 0.7952 0.6415 0.0372 x1
O 0.7958 0.0110 0.8134 x1
O 0.7974 0.3375 0.4777 x1
O 0.7985 0.6830 0.1508 x1
O 0.8012 0.9888 0.7091 x1
O 0.8065 0.3453 0.7567 x1
O 0.8101 0.3200 0.3727 x1
O 0.8119 0.9923 0.4202 x1
O 0.8131 0.3308 0.0889 x1
O 0.8170 0.6624 0.7516 x1
O 0.8194 0.0094 0.1036 x1
O 0.8206 0.6827 0.4307 x1
O 0.8658 0.5710 0.5419 x1
O 0.8736 0.2530 0.8688 x1
O 0.8782 0.0878 0.3185 x1
O 0.8778 0.4308 0.9806 x1
O 0.8806 0.4177 0.2627 x1
O 0.8820 0.9087 0.9208 x1
O 0.8874 0.7517 0.9256 x1
O 0.8866 0.7599 0.6439 x1
O 0.8951 0.5726 0.2511 x1
O 0.8995 0.9089 0.2070 x1
O 0.9032 0.0812 0.6090 x1
O 0.9107 0.8878 0.3118 x1
O 0.9131 0.4332 0.5907 x1
O 0.9132 0.5621 0.6453 x1
O 0.9169 0.2503 0.5892 x1
O 0.9210 0.4438 0.8761 x1
O 0.9220 0.7803 0.5401 x1
O 0.9232 0.9027 0.6020 x1
O 0.9313 0.7667 0.2521 x1
O 0.9333 0.0955 0.2061 x1
O 0.9345 0.5684 0.9328 x1
O 0.9363 0.0926 0.9173 x1
O 0.9363 0.2194 0.9829 x1
O 0.9398 0.2414 0.2694 x1

Values from the calculation:
DFT formation energy	-53.02	kcal/mol of atoms

## Na10Nb6In2Si11SO48 (GGA-PBE)

Data for a relaxed structure of Na10Nb6In2Si11SO48.

a b c (Å): 9.0787 15.7277 22.7146
angles (deg): 90.10 90.02 90.04
Space group P1 (No. 1)
Symmetry-distinct sites (fractional):
Na 0.0000 0.0000 0.0000 x1
Na 0.9998 0.0333 0.6642 x1
Na 0.0051 0.3384 0.3330 x1
Na 0.0148 0.6615 0.6614 x1
Na 0.1466 0.8631 0.4965 x1
Na 0.1955 0.8453 0.1638 x1
Na 0.3034 0.3434 0.9151 x1
Na 0.3143 0.3510 0.4156 x1
Na 0.3167 0.6727 0.7438 x1
Na 0.3206 0.6690 0.2431 x1
Na 0.3295 0.0239 0.0853 x1
Na 0.3396 0.0183 0.5729 x1
Na 0.4470 0.8433 0.6604 x1
Na 0.4905 0.1947 0.3331 x1
Na 0.4968 0.8628 0.0012 x1
Na 0.5053 0.8374 0.3331 x1
Na 0.5137 0.1652 0.6610 x1
Na 0.5178 0.4975 0.9986 x1
Na 0.6280 0.6618 0.1633 x1
Na 0.6363 0.3339 0.8350 x1
Na 0.6465 0.3647 0.4965 x1
Na 0.6486 0.6936 0.8346 x1
Na 0.8138 0.8503 0.4156 x1
Na 0.8244 0.1786 0.7492 x1
Na 0.8271 0.1743 0.2436 x1
Na 0.8265 0.5088 0.0781 x1
Na 0.8290 0.5192 0.5755 x1
Na 0.8316 0.8442 0.9151 x1
Na 0.9463 0.3446 0.6620 x1
Na 0.9907 0.6932 0.3335 x1
Nb 0.3139 0.3485 0.7702 x1
Nb 0.3153 0.3425 0.5618 x1
Nb 0.3193 0.6858 0.3936 x1
Nb 0.3188 0.6874 0.8918 x1
Nb 0.3205 0.0188 0.9362 x1
Nb 0.3213 0.0140 0.7295 x1
Nb 0.3211 0.0183 0.2280 x1
Nb 0.3218 0.3486 0.2667 x1
Nb 0.3254 0.3408 0.0637 x1
Nb 0.8133 0.8406 0.5616 x1
Nb 0.8183 0.1868 0.3940 x1
Nb 0.8187 0.1821 0.1039 x1
Nb 0.8185 0.5136 0.7291 x1
Nb 0.8191 0.8449 0.0610 x1
Nb 0.8220 0.5116 0.2269 x1
Nb 0.8232 0.1814 0.8940 x1
Nb 0.8242 0.8504 0.2674 x1
Nb 0.8260 0.8502 0.7716 x1
In 0.3212 0.6814 0.1033 x1
In 0.3216 0.6791 0.6033 x1
In 0.3321 0.0160 0.4318 x1
In 0.8153 0.1836 0.6018 x1
In 0.8203 0.5125 0.9328 x1
In 0.8317 0.5165 0.4319 x1
Si 0.0257 0.6788 0.5017 x1
Si 0.0310 0.0158 0.8327 x1
Si 0.0321 0.3476 0.1646 x1
Si 0.1075 0.1844 0.9992 x1
Si 0.1080 0.8498 0.6646 x1
Si 0.1149 0.5137 0.3313 x1
Si 0.1725 0.8268 0.0001 x1
Si 0.1721 0.8725 0.3337 x1
Si 0.1726 0.1593 0.3324 x1
Si 0.1773 0.2006 0.6659 x1
Si 0.1769 0.4913 0.6656 x1
Si 0.4671 0.1600 0.8316 x1
Si 0.4673 0.4917 0.1639 x1
Si 0.4666 0.8286 0.5012 x1
Si 0.4680 0.8720 0.8333 x1
Si 0.4688 0.2005 0.1670 x1
Si 0.5232 0.1793 0.5013 x1
Si 0.5257 0.5139 0.8338 x1
Si 0.5307 0.8512 0.1658 x1
Si 0.6065 0.3507 0.6663 x1
Si 0.6145 0.6785 0.9997 x1
Si 0.6153 0.0142 0.3319 x1
Si 0.6691 0.3725 0.3349 x1
Si 0.6743 0.0386 0.9994 x1
Si 0.6740 0.6586 0.3306 x1
Si 0.6757 0.9902 0.6657 x1
Si 0.6769 0.3261 0.9989 x1
Si 0.6767 0.7009 0.6685 x1
Si 0.9651 0.7001 0.1656 x1
Si 0.9661 0.9940 0.1636 x1
Si 0.9669 0.3688 0.8332 x1
Si 0.9671 0.6578 0.8322 x1
Si 0.9688 0.3299 0.5009 x1
S 0.1777 0.5355 0.9985 x1
S 0.4639 0.5344 0.4982 x1
S 0.9632 0.0342 0.4994 x1
O 0.0010 0.1640 0.0554 x1
O 0.0012 0.1879 0.6630 x1
O 0.0014 0.1955 0.9408 x1
O 0.0018 0.5330 0.2752 x1
O 0.0041 0.8663 0.6057 x1
O 0.0195 0.5229 0.9933 x1
O 0.0232 0.4812 0.3872 x1
O 0.1170 0.6698 0.5622 x1
O 0.1227 0.0211 0.4947 x1
O 0.1343 0.3338 0.2235 x1
O 0.1367 0.0033 0.8907 x1
O 0.1382 0.0269 0.7738 x1
O 0.1414 0.6922 0.4434 x1
O 0.1416 0.6976 0.1627 x1
O 0.1430 0.3525 0.8226 x1
O 0.1446 0.3602 0.1082 x1
O 0.1471 0.6678 0.8405 x1
O 0.1466 0.9963 0.1716 x1
O 0.1517 0.3362 0.5040 x1
O 0.1895 0.9227 0.3945 x1
O 0.2044 0.5840 0.0527 x1
O 0.2071 0.0977 0.2745 x1
O 0.2090 0.0968 0.9917 x1
O 0.2092 0.9369 0.6718 x1
O 0.2107 0.4283 0.6082 x1
O 0.2115 0.6021 0.3400 x1
O 0.2112 0.7668 0.6663 x1
O 0.2122 0.7642 0.9431 x1
O 0.2131 0.2621 0.7215 x1
O 0.2129 0.2683 0.0056 x1
O 0.2238 0.4318 0.3194 x1
O 0.2383 0.2565 0.3222 x1
O 0.2419 0.5861 0.6648 x1
O 0.2437 0.4408 0.7226 x1
O 0.2442 0.5795 0.9461 x1
O 0.2453 0.9225 0.9892 x1
O 0.2529 0.7752 0.3390 x1
O 0.2531 0.7946 0.0591 x1
O 0.2552 0.2462 0.6072 x1
O 0.2549 0.9158 0.2762 x1
O 0.2575 0.4512 0.0008 x1
O 0.2606 0.1079 0.6711 x1
O 0.2641 0.1255 0.3875 x1
O 0.3830 0.9189 0.4961 x1
O 0.3876 0.1077 0.1712 x1
O 0.3912 0.4486 0.5004 x1
O 0.3924 0.7759 0.8391 x1
O 0.3933 0.1099 0.8880 x1
O 0.3944 0.2490 0.1092 x1
O 0.3953 0.9160 0.7741 x1
O 0.3975 0.2552 0.8269 x1
O 0.3981 0.4378 0.2195 x1
O 0.3995 0.5862 0.1651 x1
O 0.4020 0.5785 0.4455 x1
O 0.4016 0.7871 0.5607 x1
O 0.4113 0.1014 0.4958 x1
O 0.4224 0.4306 0.8211 x1
O 0.4244 0.9350 0.1713 x1
O 0.4293 0.6026 0.8393 x1
O 0.4294 0.7668 0.4418 x1
O 0.4311 0.9289 0.8915 x1
O 0.4318 0.1000 0.7730 x1
O 0.4320 0.4340 0.1043 x1
O 0.4319 0.7654 0.1666 x1
O 0.4334 0.2563 0.2257 x1
O 0.4368 0.2743 0.5028 x1
O 0.4375 0.5821 0.5527 x1
O 0.4931 0.3354 0.0052 x1
O 0.4936 0.6715 0.3395 x1
O 0.4952 0.0236 0.9928 x1
O 0.4951 0.3493 0.3241 x1
O 0.4948 0.9975 0.6716 x1
O 0.4993 0.3363 0.7234 x1
O 0.5004 0.6935 0.9417 x1
O 0.5014 0.0326 0.2757 x1
O 0.5006 0.6961 0.6648 x1
O 0.5037 0.3607 0.6063 x1
O 0.5188 0.6632 0.0588 x1
O 0.5235 0.9814 0.3875 x1
O 0.6116 0.4875 0.8928 x1
O 0.6127 0.1671 0.5623 x1
O 0.6231 0.5207 0.4934 x1
O 0.6355 0.8614 0.1063 x1
O 0.6413 0.8398 0.2223 x1
O 0.6417 0.1916 0.4437 x1
O 0.6437 0.5314 0.7785 x1
O 0.6452 0.1697 0.8380 x1
O 0.6452 0.8555 0.8281 x1
O 0.6465 0.1921 0.1605 x1
O 0.6479 0.4985 0.1720 x1
O 0.6504 0.8355 0.5044 x1
O 0.6874 0.4217 0.3958 x1
O 0.7053 0.5994 0.2717 x1
O 0.7070 0.7708 0.0034 x1
O 0.7072 0.9276 0.6084 x1
O 0.7093 0.0957 0.0574 x1
O 0.7086 0.2679 0.9390 x1
O 0.7112 0.1025 0.3401 x1
O 0.7117 0.2664 0.6669 x1
O 0.7123 0.4355 0.6724 x1
O 0.7124 0.7620 0.7257 x1
O 0.7183 0.5962 0.9947 x1
O 0.7241 0.9325 0.3203 x1
O 0.7391 0.7569 0.3211 x1
O 0.7438 0.2722 0.0553 x1
O 0.7448 0.4208 0.9997 x1
O 0.7461 0.9425 0.7234 x1
O 0.7511 0.9435 0.0051 x1
O 0.7524 0.0830 0.6637 x1
O 0.7518 0.2754 0.3391 x1
O 0.7536 0.0836 0.9422 x1
O 0.7557 0.4184 0.2792 x1
O 0.7560 0.7485 0.6097 x1
O 0.7648 0.6104 0.6719 x1
O 0.7654 0.6254 0.3862 x1
O 0.8743 0.6246 0.8872 x1
O 0.8786 0.6093 0.1701 x1
O 0.8811 0.2755 0.8366 x1
O 0.8833 0.4193 0.4957 x1
O 0.8882 0.4150 0.7745 x1
O 0.8880 0.7515 0.1086 x1
O 0.8903 0.9485 0.5006 x1
O 0.8914 0.0870 0.1590 x1
O 0.8965 0.7539 0.8211 x1
O 0.8978 0.9432 0.2205 x1
O 0.9013 0.0803 0.4479 x1
O 0.9049 0.2882 0.5607 x1
O 0.9121 0.6017 0.4963 x1
O 0.9284 0.2632 0.1569 x1
O 0.9283 0.7596 0.2235 x1
O 0.9286 0.1003 0.8383 x1
O 0.9293 0.2671 0.4419 x1
O 0.9293 0.9301 0.8266 x1
O 0.9311 0.4333 0.1728 x1
O 0.9360 0.7740 0.5039 x1
O 0.9358 0.9328 0.1051 x1
O 0.9368 0.0797 0.5554 x1
O 0.9372 0.5988 0.7726 x1
O 0.9512 0.4247 0.8909 x1
O 0.9921 0.1709 0.3396 x1
O 0.9929 0.8396 0.0033 x1
O 0.9948 0.4954 0.6712 x1
O 0.9948 0.8402 0.7206 x1
O 0.9973 0.8499 0.3237 x1

Values from the calculation:
DFT formation energy	-65.34	kcal/mol of atoms